First-principles (r²SCAN) data for a relaxed SbCl3 crystal, as listed in the Materials Project database.

The symmetry is No. 62. The value obtained for the calculated formation energy is -3.8 eV/f.u. Its total magnetization is 0.00 μB per cell.

a = 6.446 Å, b = 8.280 Å, c = 9.261 Å
α = 90.00°, β = 90.00°, γ = 90.00°
Fractional coordinates of all 16 atoms:
Cl 0.667 0.070 0.250
Cl 0.630 0.327 0.933
Cl 0.630 0.327 0.567
Cl 0.870 0.827 0.567
Sb 0.019 0.987 0.250
Sb 0.519 0.513 0.750
Cl 0.370 0.673 0.433
Cl 0.833 0.570 0.250
Cl 0.333 0.930 0.750
Cl 0.870 0.827 0.933
Cl 0.130 0.173 0.433
Cl 0.370 0.673 0.067
Sb 0.481 0.487 0.250
Cl 0.130 0.173 0.067
Sb 0.981 0.013 0.750
Cl 0.167 0.430 0.750